A plane-wave DFT calculation with PBE-GGA was carried out for crystalline Nd4MgRh at its relaxed geometry.

a = 10.0033 Å, b = 10.0033 Å, c = 10.0033 Å
α = 60.00°, β = 60.00°, γ = 60.00°
Last column: nearest neighbours and their distance in Å.
Fractional positions:
Mg: 0.8294 0.5117 0.8294  3 Mg 3.18, 3 Nd 3.42
Nd: 0.1865 0.8135 0.8135  2 Mg 3.42, 2 Rh 3.62, 10 Nd 3.63-3.75
Nd: 0.4377 0.0623 0.4377  2 Rh 2.91
Nd: 0.5969 0.5969 0.5969  3 Rh 2.91
Nd: 0.0623 0.4377 0.4377  2 Rh 2.91
Rh: 0.3921 0.3921 0.3921  6 Nd 2.91
Mg: 0.8294 0.8294 0.8294  3 Mg 3.18, 3 Nd 3.42
Nd: 0.8135 0.1865 0.1865  2 Mg 3.42, 2 Rh 3.62, 10 Nd 3.63-3.75
Nd: 0.1865 0.1865 0.8135  2 Mg 3.42, 2 Rh 3.62, 10 Nd 3.63-3.75
Nd: 0.5969 0.2093 0.5969  3 Rh 2.91
Nd: 0.4377 0.4377 0.0623  2 Rh 2.91
Rh: 0.8238 0.3921 0.3921  6 Nd 2.91
Nd: 0.0623 0.0623 0.4377  2 Rh 2.91
Nd: 0.8135 0.8135 0.1865  2 Mg 3.42, 2 Rh 3.62, 10 Nd 3.63-3.75
Rh: 0.3921 0.3921 0.8238  6 Nd 2.91
Nd: 0.0623 0.4377 0.0623  2 Rh 2.91
Rh: 0.3921 0.8238 0.3921  6 Nd 2.91
Mg: 0.8294 0.8294 0.5117  3 Mg 3.18, 3 Nd 3.42
Nd: 0.1865 0.8135 0.1865  2 Mg 3.42, 2 Rh 3.62, 10 Nd 3.63-3.75
Nd: 0.8135 0.1865 0.8135  2 Mg 3.42, 2 Rh 3.62, 10 Nd 3.63-3.75
Nd: 0.2093 0.5969 0.5969  3 Rh 2.91
Mg: 0.5117 0.8294 0.8294  3 Mg 3.18, 3 Nd 3.42
Nd: 0.4377 0.0623 0.0623  2 Rh 2.91
Nd: 0.5969 0.5969 0.2093  3 Rh 2.91

Calculated values
E_tot = -5.013 eV per atom
SG = F-43m (216)

A plane-wave DFT calculation with PBE-GGA was carried out for crystalline Nd4MgRu at its relaxed geometry.

a = 10.0157 Å, b = 10.0157 Å, c = 10.0157 Å
α = 60.00°, β = 60.00°, γ = 60.00°
Last column: nearest neighbours and their distance in Å.
Fractional positions:
Nd: 0.9384 0.5616 0.5616  2 Ru 2.86
Nd: 0.4055 0.4055 0.4055  3 Ru 2.95
Ru: 0.6120 0.1640 0.6120  6 Nd 2.86-2.95
Mg: 0.1715 0.4856 0.1715  3 Mg 3.15, 3 Nd 3.44
Nd: 0.5616 0.9384 0.5616  2 Ru 2.86
Nd: 0.4055 0.4055 0.7834  3 Ru 2.95
Nd: 0.5616 0.9384 0.9384  2 Ru 2.86
Ru: 0.1640 0.6120 0.6120  6 Nd 2.86-2.95
Nd: 0.8112 0.8112 0.1888  2 Mg 3.44, 2 Ru 3.60, 10 Nd 3.61-3.78
Nd: 0.9384 0.9384 0.5616  2 Ru 2.86
Nd: 0.8112 0.1888 0.1888  2 Mg 3.44, 2 Ru 3.60, 10 Nd 3.61-3.78
Nd: 0.5616 0.5616 0.9384  2 Ru 2.86
Nd: 0.1888 0.1888 0.8112  2 Mg 3.44, 2 Ru 3.60, 10 Nd 3.61-3.78
Ru: 0.6120 0.6120 0.1640  6 Nd 2.86-2.95
Nd: 0.7834 0.4055 0.4055  3 Ru 2.95
Nd: 0.8112 0.1888 0.8112  2 Mg 3.44, 2 Ru 3.60, 10 Nd 3.61-3.78
Mg: 0.1715 0.1715 0.1715  3 Mg 3.15, 3 Nd 3.44
Nd: 0.1888 0.8112 0.1888  2 Mg 3.44, 2 Ru 3.60, 10 Nd 3.61-3.78
Nd: 0.4055 0.7834 0.4055  3 Ru 2.95
Mg: 0.4856 0.1715 0.1715  3 Mg 3.15, 3 Nd 3.44
Nd: 0.9384 0.5616 0.9384  2 Ru 2.86
Mg: 0.1715 0.1715 0.4856  3 Mg 3.15, 3 Nd 3.44
Nd: 0.1888 0.8112 0.8112  2 Mg 3.44, 2 Ru 3.60, 10 Nd 3.61-3.78
Ru: 0.6120 0.6120 0.6120  6 Nd 2.86-2.95

Calculated values
E_tot = -5.172 eV per atom
SG = F-43m (216)

A plane-wave DFT calculation with PBE-GGA was carried out for crystalline Nd23Mg4Ru7 at its relaxed geometry.

a = 10.0795 Å, b = 10.0795 Å, c = 22.6455 Å
α = 90.00°, β = 90.00°, γ = 120.00°
Last column: nearest neighbours and their distance in Å.
Fractional positions:
Ru: 0.0354 0.5177 0.2091  6 Nd 2.85-3.00
Mg: 0.8952 0.1048 0.3630  3 Mg 3.12-3.17, 3 Nd 3.43-3.47
Nd: 0.7921 0.5841 0.9487  2 Ru 2.79-2.86
Nd: 0.8728 0.7455 0.6355  2 Ru 2.92
Ru: 0.6667 0.3333 0.8674  6 Nd 2.86-2.93
Nd: 0.5826 0.7913 0.7184  2 Ru 2.85
Mg: 0.1048 0.2096 0.8630  3 Mg 3.12-3.17, 3 Nd 3.43-3.47
Ru: 0.1469 0.8531 0.5626  6 Nd 2.79-2.92
Ru: 0.9646 0.4823 0.7091  6 Nd 2.85-3.00
Nd: 0.4174 0.2087 0.2184  2 Ru 2.85
Nd: 0.5412 0.0824 0.0846  3 Ru 2.92-3.00
Nd: 0.9176 0.4588 0.0846  3 Ru 2.92-3.00
Nd: 0.3333 0.6667 0.1448  3 Ru 2.98
Ru: 0.3333 0.6667 0.3674  6 Nd 2.86-2.93
Nd: 0.6667 0.3333 0.6448  3 Ru 2.98
Nd: 0.4588 0.5412 0.5846  3 Ru 2.92-3.00
Mg: 0.1048 0.8952 0.8630  3 Mg 3.12-3.17, 3 Nd 3.43-3.47
Nd: 0.5408 0.0815 0.3555  2 Mg 3.47, 2 Ru 3.47-3.63, 10 Nd 3.58-3.81
Mg: 0.2096 0.1048 0.3630  3 Mg 3.12-3.17, 3 Nd 3.43-3.47
Ru: 0.4823 0.5177 0.2091  6 Nd 2.85-3.00
Nd: 0.0815 0.5408 0.8555  2 Mg 3.47, 2 Ru 3.47-3.63, 10 Nd 3.58-3.81
Nd: 0.2080 0.7920 0.2812  3 Ru 2.92-2.93
Nd: 0.2079 0.4159 0.4487  2 Ru 2.79-2.86
Nd: 0.4159 0.2079 0.9487  2 Ru 2.79-2.86
Nd: 0.7921 0.2079 0.9487  2 Ru 2.79-2.86
Nd: 0.2088 0.7912 0.9915  1 Mg 3.43, 10 Nd 3.56-3.80, 2 Ru 3.62
Nd: 0.1272 0.2545 0.1355  2 Ru 2.92
Nd: 0.7913 0.5826 0.2184  2 Ru 2.85
Nd: 0.7913 0.2087 0.2184  2 Ru 2.85
Nd: 0.9185 0.4592 0.3555  2 Mg 3.47, 2 Ru 3.47-3.63, 10 Nd 3.58-3.81
Ru: 0.1469 0.2939 0.5626  6 Nd 2.79-2.92
Mg: 0.0000 0.0000 0.7514  3 Mg 3.12, 3 Nd 3.44
Ru: 0.7061 0.8531 0.5626  6 Nd 2.79-2.92
Nd: 0.5408 0.4592 0.3555  2 Mg 3.47, 2 Ru 3.47-3.63, 10 Nd 3.58-3.81
Nd: 0.0000 0.0000 0.0031  3 Ru 2.90
Mg: 0.7904 0.8952 0.8630  3 Mg 3.12-3.17, 3 Nd 3.43-3.47
Ru: 0.2939 0.1469 0.0626  6 Nd 2.79-2.92
Nd: 0.4592 0.9185 0.8555  2 Mg 3.47, 2 Ru 3.47-3.63, 10 Nd 3.58-3.81
Ru: 0.5177 0.4823 0.7091  6 Nd 2.85-3.00
Nd: 0.7920 0.5839 0.7812  3 Ru 2.92-2.93
Nd: 0.7912 0.2088 0.4915  1 Mg 3.43, 10 Nd 3.56-3.80, 2 Ru 3.62
Nd: 0.4176 0.2088 0.4915  1 Mg 3.43, 10 Nd 3.56-3.80, 2 Ru 3.62
Nd: 0.4161 0.2080 0.7812  3 Ru 2.92-2.93
Nd: 0.4592 0.5408 0.8555  2 Mg 3.47, 2 Ru 3.47-3.63, 10 Nd 3.58-3.81
Nd: 0.2087 0.7913 0.7184  2 Ru 2.85
Nd: 0.0000 0.0000 0.5031  3 Ru 2.90
Nd: 0.2088 0.4176 0.9915  1 Mg 3.43, 10 Nd 3.56-3.80, 2 Ru 3.62
Nd: 0.4588 0.9176 0.5846  3 Ru 2.92-3.00
Nd: 0.7455 0.8728 0.1355  2 Ru 2.92
Nd: 0.2079 0.7921 0.4487  2 Ru 2.79-2.86
Nd: 0.5824 0.7912 0.9915  1 Mg 3.43, 10 Nd 3.56-3.80, 2 Ru 3.62
Nd: 0.2545 0.1272 0.6355  2 Ru 2.92
Nd: 0.7920 0.2080 0.7812  3 Ru 2.92-2.93
Ru: 0.4823 0.9646 0.2091  6 Nd 2.85-3.00
Nd: 0.8728 0.1272 0.6355  2 Ru 2.92
Nd: 0.5839 0.7920 0.2812  3 Ru 2.92-2.93
Nd: 0.1272 0.8728 0.1355  2 Ru 2.92
Ru: 0.8531 0.7061 0.0626  6 Nd 2.79-2.92
Nd: 0.2087 0.4174 0.7184  2 Ru 2.85
Mg: 0.0000 0.0000 0.2514  3 Mg 3.12, 3 Nd 3.44
Nd: 0.5841 0.7921 0.4487  2 Ru 2.79-2.86
Nd: 0.7912 0.5824 0.4915  1 Mg 3.43, 10 Nd 3.56-3.80, 2 Ru 3.62
Nd: 0.2080 0.4161 0.2812  3 Ru 2.92-2.93
Nd: 0.0824 0.5412 0.5846  3 Ru 2.92-3.00
Ru: 0.5177 0.0354 0.7091  6 Nd 2.85-3.00
Nd: 0.5412 0.4588 0.0846  3 Ru 2.92-3.00
Mg: 0.8952 0.7904 0.3630  3 Mg 3.12-3.17, 3 Nd 3.43-3.47
Ru: 0.8531 0.1469 0.0626  6 Nd 2.79-2.92

Calculated values
Magnetization = 0.004 μB/atom
E_tot = -5.514 eV per atom
SG = P6_3mc (186)